No. 1
# MgCd2 | the Materials Project | GGA-PBE | optimized geometry
# Electronic total energy: -0.816 eV/atom
# Calculated volume: 32.9 A^3/atom
# Calculated formation energy: 32.1 kJ per mole of atoms
data_MgCd2
_chemical_formula_sum 'Mg2 Cd4'
_symmetry_space_group_name_H-M 'P 42/m n m'
_symmetry_Int_Tables_number 136
_symmetry_space_group_name_Hall '-P 4n 2n'
_cell_length_a 6.6634
_cell_length_b 6.6634
_cell_length_c 4.4450
_cell_angle_alpha 90.00
_cell_angle_beta 90.00
_cell_angle_gamma 90.00
loop_
_atom_site_label
_atom_site_fract_x
_atom_site_fract_y
_atom_site_fract_z
Mg1 0.0000 0.0000 0.0000
Cd1 0.1992 0.1992 0.5000



No. 2
# MgCd2 | the Materials Project | GGA-PBE | optimized geometry
# Electronic total energy: -1.191 eV/atom
# Calculated volume: 22.3 A^3/atom
# Calculated formation energy: -4.1 kJ per mole of atoms
data_MgCd2
_chemical_formula_sum 'Mg4 Cd8'
_symmetry_space_group_name_H-M 'C 1 m 1'
_symmetry_Int_Tables_number 8
_cell_length_a 11.2740
_cell_length_b 3.2993
_cell_length_c 7.3667
_cell_angle_alpha 90.00
_cell_angle_beta 101.94
_cell_angle_gamma 90.00
loop_
_symmetry_equiv_pos_as_xyz
'x,y,z'
'x,-y,z'
'x+1/2,y+1/2,z'
'x+1/2,-y+1/2,z'
loop_
_atom_site_label
_atom_site_fract_x
_atom_site_fract_y
_atom_site_fract_z
Mg1 0.0000 0.0000 0.0000
Mg2 0.1729 0.5000 0.3420
Cd1 0.1144 0.5000 0.7297
Cd2 0.2793 0.0000 0.0658
Cd3 0.3375 0.0000 0.6733
Cd4 0.4513 0.5000 0.3882



No. 3
# Mg3Cd | the Materials Project | GGA-PBE | optimized geometry
# Electronic total energy: -1.481 eV/atom
# Calculated volume: 22.1 A^3/atom
# Calculated formation energy: -4.8 kJ per mole of atoms
data_Mg3Cd
_chemical_formula_sum 'Mg6 Cd2'
_symmetry_space_group_name_H-M 'I 4/m m m'
_symmetry_Int_Tables_number 139
_symmetry_space_group_name_Hall '-I 4 2'
_cell_length_a 4.5779
_cell_length_b 4.5779
_cell_length_c 8.4490
_cell_angle_alpha 90.00
_cell_angle_beta 90.00
_cell_angle_gamma 90.00
loop_
_atom_site_label
_atom_site_fract_x
_atom_site_fract_y
_atom_site_fract_z
Mg1 0.0000 0.0000 0.0000
Mg2 0.0000 0.5000 0.2500
Cd1 0.0000 0.0000 0.5000



No. 4
# MgCd2 | the Materials Project | GGA-PBE | optimized geometry
# Electronic total energy: -1.200 eV/atom
# Calculated volume: 22.0 A^3/atom
# Calculated formation energy: -4.9 kJ per mole of atoms
data_MgCd2
_chemical_formula_sum 'Mg4 Cd8'
_symmetry_space_group_name_H-M 'C 1 2/m 1'
_symmetry_Int_Tables_number 12
_cell_length_a 11.6636
_cell_length_b 3.1906
_cell_length_c 7.3852
_cell_angle_alpha 90.00
_cell_angle_beta 105.94
_cell_angle_gamma 90.00
loop_
_symmetry_equiv_pos_as_xyz
'x,y,z'
'-x,-y,-z'
'-x,y,-z'
'x,-y,z'
'x+1/2,y+1/2,z'
'-x+1/2,-y+1/2,-z'
'-x+1/2,y+1/2,-z'
'x+1/2,-y+1/2,z'
loop_
_atom_site_label
_atom_site_fract_x
_atom_site_fract_y
_atom_site_fract_z
Mg1 0.0269 0.0000 0.3036
Cd1 0.1369 0.5000 0.0284
Cd2 0.1912 0.5000 0.6372



No. 5
# Mg3Cd | the Materials Project | GGA-PBE | optimized geometry
# Electronic total energy: -1.466 eV/atom
# Calculated volume: 22.2 A^3/atom
# Calculated formation energy: -3.3 kJ per mole of atoms
data_Mg3Cd
_chemical_formula_sum 'Mg6 Cd2'
_symmetry_space_group_name_H-M 'I m m 2'
_symmetry_Int_Tables_number 44
_cell_length_a 3.2050
_cell_length_b 10.3103
_cell_length_c 5.3761
_cell_angle_alpha 90.00
_cell_angle_beta 90.00
_cell_angle_gamma 90.00
loop_
_symmetry_equiv_pos_as_xyz
'x,y,z'
'-x,-y,z'
'-x,y,z'
'x,-y,z'
'x+1/2,y+1/2,z+1/2'
'-x+1/2,-y+1/2,z+1/2'
'-x+1/2,y+1/2,z+1/2'
'x+1/2,-y+1/2,z+1/2'
loop_
_atom_site_label
_atom_site_fract_x
_atom_site_fract_y
_atom_site_fract_z
Mg1 0.0000 0.0000 0.0000
Mg2 0.0000 0.2487 0.3355
Cd1 0.0000 0.5000 0.0032



No. 6
# MgCd2 | the Materials Project | GGA-PBE | optimized geometry
# Electronic total energy: -1.212 eV/atom
# Calculated volume: 22.3 A^3/atom
# Calculated formation energy: -6.1 kJ per mole of atoms
data_MgCd2
_chemical_formula_sum 'Mg4 Cd8'
_symmetry_space_group_name_H-M 'C m c m'
_symmetry_Int_Tables_number 63
_symmetry_space_group_name_Hall '-C 2c 2'
_cell_length_a 3.2168
_cell_length_b 16.0518
_cell_length_c 5.1746
_cell_angle_alpha 90.00
_cell_angle_beta 90.00
_cell_angle_gamma 90.00
loop_
_atom_site_label
_atom_site_fract_x
_atom_site_fract_y
_atom_site_fract_z
Mg1 0.0000 0.2209 0.2500
Cd1 0.0000 0.1153 0.7500
Cd2 0.0000 0.4452 0.7500



No. 7
# MgCd2 | the Materials Project | GGA-PBE | optimized geometry
# Electronic total energy: -1.140 eV/atom
# Calculated volume: 22.6 A^3/atom
# Calculated formation energy: 0.8 kJ per mole of atoms
data_MgCd2
_chemical_formula_sum 'Mg2 Cd4'
_symmetry_space_group_name_H-M 'P -3 m 1'
_symmetry_Int_Tables_number 164
_symmetry_space_group_name_Hall '-P 3 2"'
_cell_length_a 3.1163
_cell_length_b 3.1163
_cell_length_c 16.1262
_cell_angle_alpha 90.00
_cell_angle_beta 90.00
_cell_angle_gamma 120.00
loop_
_atom_site_label
_atom_site_fract_x
_atom_site_fract_y
_atom_site_fract_z
Mg1 0.3333 0.6667 0.4155
Cd1 0.3333 0.6667 0.0835
Cd2 0.3333 0.6667 0.7486



No. 8
# MgCd2 | the Materials Project | GGA-PBE | optimized geometry
# Electronic total energy: -1.208 eV/atom
# Calculated volume: 21.9 A^3/atom
# Calculated formation energy: -5.7 kJ per mole of atoms
data_MgCd2
_chemical_formula_sum 'Mg4 Cd8'
_symmetry_space_group_name_H-M 'C m c m'
_symmetry_Int_Tables_number 63
_symmetry_space_group_name_Hall '-C 2c 2'
_cell_length_a 9.4712
_cell_length_b 5.3627
_cell_length_c 5.1772
_cell_angle_alpha 90.00
_cell_angle_beta 90.00
_cell_angle_gamma 90.00
loop_
_atom_site_label
_atom_site_fract_x
_atom_site_fract_y
_atom_site_fract_z
Mg1 0.0000 0.1745 0.2500
Cd1 0.1666 0.3312 0.7500



Please write out number 2 again, unchanged.
# MgCd2 | the Materials Project | GGA-PBE | optimized geometry
# Electronic total energy: -1.191 eV/atom
# Calculated volume: 22.3 A^3/atom
# Calculated formation energy: -4.1 kJ per mole of atoms
data_MgCd2
_chemical_formula_sum 'Mg4 Cd8'
_symmetry_space_group_name_H-M 'C 1 m 1'
_symmetry_Int_Tables_number 8
_cell_length_a 11.2740
_cell_length_b 3.2993
_cell_length_c 7.3667
_cell_angle_alpha 90.00
_cell_angle_beta 101.94
_cell_angle_gamma 90.00
loop_
_symmetry_equiv_pos_as_xyz
'x,y,z'
'x,-y,z'
'x+1/2,y+1/2,z'
'x+1/2,-y+1/2,z'
loop_
_atom_site_label
_atom_site_fract_x
_atom_site_fract_y
_atom_site_fract_z
Mg1 0.0000 0.0000 0.0000
Mg2 0.1729 0.5000 0.3420
Cd1 0.1144 0.5000 0.7297
Cd2 0.2793 0.0000 0.0658
Cd3 0.3375 0.0000 0.6733
Cd4 0.4513 0.5000 0.3882



calculated formation energy of number 1 (MgCd2)? 32.1 kJ per mole of atoms